(1)
Material: CaH12I2O14
Method: DFT, PBE-GGA
State: optimized geometry

```
58
Lattice="-0.169 -2.431 -10.165 2.687 -6.713 -7.549 -7.856 -7.686 -4.004" Properties=species:S:1:pos:R:3 pbc="T T T"
H -6.086 -8.171 -8.123
O -0.827 -3.944 -9.001
H -0.387 -9.095 -9.496
I 1.415 -4.305 -5.051
O -3.209 -10.105 -9.587
H -4.667 -7.914 -10.694
H -1.643 -6.816 -12.973
Ca -4.383 -10.710 -11.631
O 1.095 -6.484 -11.572
O -0.925 -8.564 -10.128
O 0.806 -6.358 -8.406
H 0.532 -5.977 -7.527
H 1.204 -7.230 -8.180
I -1.238 -11.061 -13.211
H -2.502 -9.414 -9.628
H 1.988 -6.916 -11.505
H -4.951 -7.734 -12.222
O -5.410 -11.731 -15.718
H -1.385 -3.744 -8.226
H -3.804 -11.565 -16.169
O -2.129 -6.724 -12.131
O 1.568 -8.267 -14.046
I -6.753 -12.524 -16.667
O -2.399 -6.661 -8.047
H -2.509 -7.405 -7.396
O -0.600 -10.853 -15.073
O -5.440 -13.328 -17.911
O -2.896 -11.306 -16.539
H 0.748 -8.658 -13.595
O -4.942 -7.313 -8.997
H -1.534 -5.264 -5.549
I -4.100 -5.769 -8.507
O -4.413 -8.265 -11.590
H -2.829 -9.425 -14.322
O -6.144 -10.472 -13.312
H -6.542 -9.600 -13.538
H -5.397 -13.308 -12.840
H 0.059 -3.521 -8.878
O -4.951 -12.426 -9.976
Ca -0.955 -6.119 -10.087
H -3.953 -13.086 -13.492
O -0.396 -9.516 -12.721
O -2.939 -10.169 -13.670
O 0.102 -3.502 -3.807
H -7.326 -9.914 -10.213
O -2.442 -5.524 -5.179
O -6.433 -10.346 -10.146
O -4.511 -12.885 -12.717
O -2.093 -11.578 -11.709
O -6.906 -8.563 -7.672
H -3.695 -10.013 -8.745
O 0.072 -5.098 -6.000
H -2.836 -7.415 -12.090
O -4.738 -5.976 -6.645
H -5.870 -10.852 -14.191
O -0.387 -4.404 -11.742
O -3.245 -5.251 -10.009
H -0.671 -8.916 -11.024
```

Computed properties:
calculated volume	10.0	Å³/atom
ρ	3.0	g/cm³
M_tot	0.000	μB/atom
uncorrected energy	-283.20	eV/cell



(2)
Material: NaCdBi
Method: DFT, PBE-GGA
State: optimized geometry

```
12
Lattice="8.193 0.000 0.000 0.000 4.881 0.000 0.000 0.000 8.988" Properties=species:S:1:pos:R:3 pbc="T T T"
Cd 2.919 1.220 0.659
Na 0.180 3.661 1.631
Bi 1.903 1.220 3.507
Bi 2.194 3.661 8.001
Bi 5.999 1.220 0.987
Bi 6.290 3.661 5.481
Na 8.013 1.220 7.357
Cd 7.016 1.220 3.834
Cd 5.274 3.661 8.328
Na 4.277 3.661 2.863
Cd 1.177 3.661 5.153
Na 3.917 1.220 6.125
```

Computed properties:
calculated volume	30.0	Å³/atom
ρ	6.4	g/cm³
M_tot	0.000	μB/atom
uncorrected energy	-27.35	eV/cell